This record from Materials Project describes a relaxed TmH3 crystal. The functional is PBE-GGA.

Cell lengths 6.1916, 6.1916, 6.4706 Å; angles 90.00, 90.00, 120.00 degrees
Atoms (fractional coordinates):
Tm1 0.0000 0.3371 0.2500
Tm2 0.0000 0.6629 0.7500
Tm3 0.3371 0.0000 0.2500
Tm4 0.3371 0.3371 0.7500
Tm5 0.6629 0.0000 0.7500
Tm6 0.6629 0.6629 0.2500
H1 0.0000 0.0000 0.2500
H2 0.0000 0.0000 0.7500
H3 0.0302 0.3510 0.9084
H4 0.0302 0.6791 0.4084
H5 0.3209 0.3510 0.4084
H6 0.3209 0.9698 0.9084
H7 0.3333 0.6667 0.1803
H8 0.3333 0.6667 0.6803
H9 0.3510 0.0302 0.5916
H10 0.3510 0.3209 0.0916
H11 0.6490 0.6791 0.9084
H12 0.6490 0.9698 0.4084
H13 0.6667 0.3333 0.3197
H14 0.6667 0.3333 0.8197
H15 0.6791 0.0302 0.0916
H16 0.6791 0.6490 0.5916
H17 0.9698 0.3209 0.5916
H18 0.9698 0.6490 0.0916

This record from Materials Project describes a relaxed CsPd2Cl5 crystal. The functional is PBE-GGA.

Cell lengths 16.3233, 10.9510, 5.5622 Å; angles 90.00, 90.00, 90.00 degrees
Atoms (fractional coordinates):
Cs1 0.2354 0.2500 0.1052
Cs2 0.2646 0.7500 0.6052
Cs3 0.7354 0.2500 0.3948
Cs4 0.7646 0.7500 0.8948
Pd1 0.0497 0.5846 0.2821
Pd2 0.0497 0.9154 0.2821
Pd3 0.4503 0.0846 0.7821
Pd4 0.4503 0.4154 0.7821
Pd5 0.5497 0.5846 0.2179
Pd6 0.5497 0.9154 0.2179
Pd7 0.9503 0.0846 0.7179
Pd8 0.9503 0.4154 0.7179
Cl1 0.0153 0.7500 0.0432
Cl2 0.0800 0.0815 0.5315
Cl3 0.0800 0.4185 0.5315
Cl4 0.1786 0.5731 0.1161
Cl5 0.1786 0.9269 0.1161
Cl6 0.3214 0.0731 0.6161
Cl7 0.3214 0.4269 0.6161
Cl8 0.4200 0.5815 0.0315
Cl9 0.4200 0.9185 0.0315
Cl10 0.4847 0.2500 0.5432
Cl11 0.5153 0.7500 0.4568
Cl12 0.5800 0.0815 0.9685
Cl13 0.5800 0.4185 0.9685
Cl14 0.6786 0.5731 0.3839
Cl15 0.6786 0.9269 0.3839
Cl16 0.8214 0.0731 0.8839
Cl17 0.8214 0.4269 0.8839
Cl18 0.9200 0.5815 0.4685
Cl19 0.9200 0.9185 0.4685
Cl20 0.9847 0.2500 0.9568

This record from Materials Project describes a relaxed BaAgBi crystal. The functional is PBE-GGA.

Cell lengths 5.8330, 5.8330, 7.0408 Å; angles 90.00, 90.00, 120.00 degrees
Atoms (fractional coordinates):
Ba1 0.3333 0.6667 0.2500
Ba2 0.6667 0.3333 0.7500
Ag1 0.0000 0.0000 0.0000
Ag2 0.0000 0.0000 0.5000
Bi1 0.3333 0.6667 0.7500
Bi2 0.6667 0.3333 0.2500

This record from Materials Project describes a relaxed BaSrDySbO6 crystal. The functional is PBE-GGA.

Output
As for the energy above the most stable polymorph in this dataset: 0 meV/atom.

Cell lengths 8.4193, 8.4279, 8.4370 Å; angles 90.00, 90.00, 90.00 degrees
Atoms (fractional coordinates):
Ba1 0.0000 0.0000 0.0000
Ba2 0.0000 0.0000 0.5000
Ba3 0.0000 0.5000 0.0000
Ba4 0.5000 0.5000 0.0000
Sr1 0.0000 0.5000 0.5000
Sr2 0.5000 0.0000 0.0000
Sr3 0.5000 0.0000 0.5000
Sr4 0.5000 0.5000 0.5000
Dy1 0.2519 0.2506 0.2526
Dy2 0.2519 0.7494 0.7474
Dy3 0.7481 0.2506 0.7474
Dy4 0.7481 0.7494 0.2526
Sb1 0.2526 0.2510 0.7462
Sb2 0.2526 0.7490 0.2538
Sb3 0.7474 0.2510 0.2538
Sb4 0.7474 0.7490 0.7462
O1 0.0146 0.2291 0.7686
O2 0.0146 0.7709 0.2314
O3 0.2223 0.2781 0.5117
O4 0.2223 0.7219 0.4883
O5 0.2319 0.4873 0.7707
O6 0.2319 0.5127 0.2293
O7 0.2795 0.0139 0.7202
O8 0.2803 0.2238 0.9844
O9 0.2803 0.7762 0.0156
O10 0.2795 0.9861 0.2798
O11 0.4879 0.2775 0.7178
O12 0.4879 0.7225 0.2822
O13 0.5121 0.2775 0.2822
O14 0.5121 0.7225 0.7178
O15 0.7205 0.0139 0.2798
O16 0.7197 0.2238 0.0156
O17 0.7197 0.7762 0.9844
O18 0.7205 0.9861 0.7202
O19 0.7681 0.4873 0.2293
O20 0.7681 0.5127 0.7707
O21 0.7777 0.2781 0.4883
O22 0.7777 0.7219 0.5117
O23 0.9854 0.2291 0.2314
O24 0.9854 0.7709 0.7686

This record from Materials Project describes a relaxed Sm10Se19 crystal. The functional is PBE-GGA.

Cell lengths 9.2400, 9.2400, 16.8941 Å; angles 90.00, 90.00, 90.00 degrees
Atoms (fractional coordinates):
Sm1 0.0430 0.3476 0.1195
Sm2 0.0530 0.3529 0.6064
Sm3 0.1471 0.0530 0.8936
Sm4 0.1524 0.0430 0.3805
Sm5 0.2500 0.7500 0.1170
Sm6 0.2500 0.7500 0.6170
Sm7 0.3476 0.4570 0.3805
Sm8 0.3529 0.4470 0.8936
Sm9 0.4470 0.1471 0.6064
Sm10 0.4570 0.1524 0.1195
Sm11 0.5430 0.8476 0.8805
Sm12 0.5530 0.8529 0.3936
Sm13 0.6471 0.5530 0.1064
Sm14 0.6524 0.5430 0.6195
Sm15 0.7500 0.2500 0.3830
Sm16 0.7500 0.2500 0.8830
Sm17 0.8476 0.9570 0.6195
Sm18 0.8529 0.9470 0.1064
Sm19 0.9470 0.6471 0.3936
Sm20 0.9570 0.6524 0.8805
Se1 0.0295 0.8267 0.2500
Se2 0.0489 0.3476 0.4296
Se3 0.0526 0.3505 0.9371
Se4 0.0632 0.8796 0.7507
Se5 0.1204 0.5632 0.2507
Se6 0.1495 0.0526 0.5629
Se7 0.1524 0.0489 0.0704
Se8 0.1733 0.5295 0.7500
Se9 0.2500 0.2500 0.2500
Se10 0.2500 0.7500 0.4360
Se11 0.2500 0.7500 0.9360
Se12 0.3267 0.9705 0.7500
Se13 0.3476 0.4511 0.0704
Se14 0.3505 0.4474 0.5629
Se15 0.3796 0.9368 0.2507
Se16 0.4368 0.6204 0.7507
Se17 0.4474 0.1495 0.9371
Se18 0.4511 0.1524 0.4296
Se19 0.4705 0.6733 0.2500
Se20 0.5295 0.3267 0.7500
Se21 0.5489 0.8476 0.5704
Se22 0.5526 0.8505 0.0629
Se23 0.5632 0.3796 0.2493
Se24 0.6204 0.0632 0.7493
Se25 0.6495 0.5526 0.4371
Se26 0.6524 0.5489 0.9296
Se27 0.6733 0.0295 0.2500
Se28 0.7500 0.2500 0.0640
Se29 0.7500 0.2500 0.5640
Se30 0.7500 0.7500 0.7500
Se31 0.8267 0.4705 0.2500
Se32 0.8476 0.9511 0.9296
Se33 0.8505 0.9474 0.4371
Se34 0.8796 0.4368 0.7493
Se35 0.9368 0.1204 0.2493
Se36 0.9474 0.6495 0.0629
Se37 0.9511 0.6524 0.5704
Se38 0.9705 0.1733 0.7500

This record from Materials Project describes a relaxed Na2Ca4YZrSi4O15F3 crystal. The functional is PBE-GGA.

Cell lengths 7.4574, 10.3839, 11.1825 Å; angles 89.88, 70.90, 89.70 degrees
Atoms (fractional coordinates):
Na1 0.1578 0.1255 0.4250
Na2 0.1650 0.3811 0.9247
Na3 0.8350 0.6189 0.0753
Na4 0.8422 0.8745 0.5750
Ca1 0.0244 0.8948 0.2010
Ca2 0.0256 0.5969 0.6968
Ca3 0.3403 0.8666 0.5750
Ca4 0.3458 0.6241 0.0686
Ca5 0.6542 0.3759 0.9314
Ca6 0.6597 0.1334 0.4250
Ca7 0.9744 0.4031 0.3032
Ca8 0.9756 0.1052 0.7990
Y1 0.4709 0.1013 0.8095
Y2 0.5291 0.8987 0.1905
Zr1 0.4807 0.4068 0.2891
Zr2 0.5193 0.5932 0.7109
Si1 0.1574 0.6730 0.3814
Si2 0.1565 0.8202 0.8789
Si3 0.2771 0.1798 0.1296
Si4 0.2853 0.3291 0.6208
Si5 0.7147 0.6709 0.3792
Si6 0.7229 0.8202 0.8704
Si7 0.8435 0.1798 0.1211
Si8 0.8426 0.3270 0.6186
O1 0.0513 0.2037 0.1425
O2 0.0579 0.3370 0.6308
O3 0.1391 0.7291 0.5201
O4 0.1417 0.7726 0.0191
O5 0.2126 0.9723 0.8487
O6 0.2331 0.5229 0.3584
O7 0.2733 0.7648 0.2616
O8 0.2857 0.2284 0.7333
O9 0.2918 0.7333 0.7592
O10 0.2928 0.2727 0.2444
O11 0.3050 0.0286 0.1590
O12 0.3285 0.4772 0.6545
O13 0.4046 0.2219 0.9864
O14 0.4098 0.2843 0.4777
O15 0.4450 0.5173 0.8796
O16 0.5550 0.4827 0.1204
O17 0.5902 0.7157 0.5223
O18 0.5954 0.7781 0.0136
O19 0.6715 0.5228 0.3455
O20 0.6950 0.9714 0.8410
O21 0.7072 0.7273 0.7556
O22 0.7082 0.2667 0.2408
O23 0.7143 0.7716 0.2667
O24 0.7267 0.2352 0.7384
O25 0.7669 0.4771 0.6416
O26 0.7874 0.0277 0.1513
O27 0.8583 0.2274 0.9809
O28 0.8609 0.2709 0.4799
O29 0.9421 0.6630 0.3692
O30 0.9487 0.7963 0.8575
F1 0.0779 0.4978 0.1147
F2 0.0841 0.0058 0.6095
F3 0.4381 0.9900 0.3900
F4 0.5619 0.0100 0.6100
F5 0.9159 0.9942 0.3905
F6 0.9221 0.5022 0.8853

This record from Materials Project describes a relaxed CdI2O6 crystal. The functional is PBE-GGA.

Output
As for the energy above the most stable polymorph in this dataset: 0 meV/atom.

Cell lengths 5.7040, 5.9248, 17.6894 Å; angles 90.00, 90.00, 90.00 degrees
Atoms (fractional coordinates):
Cd1 0.2089 0.1717 0.0941
Cd2 0.2911 0.8283 0.5941
Cd3 0.7089 0.3283 0.9059
Cd4 0.7911 0.6717 0.4059
I1 0.0314 0.8629 0.9227
I2 0.2446 0.7152 0.2917
I3 0.2554 0.2848 0.7917
I4 0.4686 0.1371 0.4227
I5 0.5314 0.6371 0.0773
I6 0.7446 0.7848 0.7083
I7 0.7554 0.2152 0.2083
I8 0.9686 0.3629 0.5773
O1 0.0168 0.0332 0.2075
O2 0.0462 0.4804 0.8371
O3 0.0457 0.6055 0.5160
O4 0.1096 0.4940 0.6615
O5 0.1383 0.8736 0.3757
O6 0.2173 0.1833 0.5459
O7 0.2827 0.8167 0.0459
O8 0.3617 0.1264 0.8757
O9 0.3904 0.5060 0.1615
O10 0.4543 0.3945 0.0160
O11 0.4538 0.5196 0.3371
O12 0.4832 0.9668 0.7075
O13 0.5168 0.4668 0.7925
O14 0.5462 0.0196 0.1629
O15 0.5457 0.8945 0.4840
O16 0.6096 0.0060 0.3385
O17 0.6383 0.6264 0.6243
O18 0.7173 0.3167 0.4541
O19 0.7827 0.6833 0.9541
O20 0.8617 0.3736 0.1243
O21 0.8904 0.9940 0.8385
O22 0.9543 0.1055 0.9840
O23 0.9538 0.9804 0.6629
O24 0.9832 0.5332 0.2925

This record from Materials Project describes a relaxed Ni5Sb2 crystal. The functional is PBE-GGA.

Cell lengths 7.0266, 7.0266, 6.1428 Å; angles 115.58, 115.58, 45.34 degrees
Atoms (fractional coordinates):
Ni1 0.0183 0.5237 0.7414
Ni2 0.1018 0.1018 0.4053
Ni3 0.2480 0.7520 0.0000
Ni4 0.3722 0.3722 0.1495
Ni5 0.4763 0.9817 0.2586
Ni6 0.5237 0.0183 0.7414
Ni7 0.6278 0.6278 0.8505
Ni8 0.7520 0.2480 0.0000
Ni9 0.8982 0.8982 0.5947
Ni10 0.9817 0.4763 0.2586
Sb1 0.1269 0.1269 0.8494
Sb2 0.3972 0.3972 0.5974
Sb3 0.6028 0.6028 0.4026
Sb4 0.8731 0.8731 0.1506

| no. | ΔH_f (0 K) (eV per atom) | V (Å³/f.u.) |
| --- | --- | --- |
| 1 | -0.734 | 36 |
| 2 | -1.262 | 249 |
| 3 | -0.291 | 104 |
| 4 | -3.086 | 150 |
| 5 | -1.978 | 721 |
| 6 | -3.515 | 409 |
| 7 | -1.027 | 149 |
| 8 | -0.225 | 95 |